(1)
The following is a GGA-PBE calculation of a relaxed structure of NaTeAu, from the Materials Project.

Calculated values
symmetry: No. 194

```
NaTeAu
1.0
-2.355 -4.079 0.000
-2.355 4.079 0.000
0.000 0.000 -8.688
Na Au Te
2 2 2
Direct
0.000 0.000 0.000
0.000 0.000 0.500
0.333 0.667 0.750
0.667 0.333 0.250
0.333 0.667 0.250
0.667 0.333 0.750
```

=====

(2)
The following is a GGA-PBE calculation of a relaxed structure of Na4TlAu, from the Materials Project.

Calculated values
symmetry: No. 69

```
Na4TlAu
1.0
-8.215 9.351 3.488
-4.587 11.311 -0.532
-5.406 -1.571 -1.210
Na Tl Au
8 2 2
Direct
0.805 0.471 0.529
0.195 0.529 0.471
0.664 0.336 0.664
0.336 0.664 0.336
0.795 0.795 0.205
0.471 0.805 0.195
0.205 0.205 0.795
0.529 0.195 0.805
0.934 0.934 0.066
0.066 0.066 0.934
0.750 0.750 0.750
0.250 0.250 0.250
```

=====

(3)
The following is a GGA-PBE calculation of a relaxed structure of NbAu4, from the Materials Project.

Calculated values
symmetry: No. 166

```
NbAu4
1.0
-7.920 -3.349 -8.614
-5.544 -4.609 -9.806
-7.123 -6.059 -7.791
Au Nb
4 1
Direct
0.200 0.200 0.200
0.800 0.800 0.800
0.601 0.601 0.601
0.399 0.399 0.399
0.000 0.000 0.000
```

=====

(4)
The following is a GGA-PBE calculation of a relaxed structure of Nb3Au2, from the Materials Project.

Calculated values
distance to the lowest polymorph of the same formula: 0.123 eV per atom
symmetry: No. 213

```
Nb3Au2
1.0
-5.912 0.295 -3.987
2.658 -5.027 -4.313
-2.987 -5.057 4.054
Au Nb
8 12
Direct
0.300 0.200 0.800
0.550 0.450 0.950
0.950 0.550 0.450
0.200 0.800 0.300
0.050 0.050 0.050
0.700 0.700 0.700
0.800 0.300 0.200
0.450 0.950 0.550
0.192 0.442 0.125
0.625 0.308 0.558
0.442 0.125 0.192
0.942 0.375 0.808
0.692 0.058 0.875
0.558 0.625 0.308
0.808 0.942 0.375
0.058 0.875 0.692
0.375 0.808 0.942
0.875 0.692 0.058
0.125 0.192 0.442
0.308 0.558 0.625
```

=====

| no. | DFT formation energy (eV per atom) |
| --- | --- |
| 1 | -0.53 |
| 2 | -0.18 |
| 3 | 0.00 |
| 4 | -0.02 |